Model 1:
VASP calculation (PBE) on an optimized crystal structure of MgTe4Mo3WSe2S2.

abc: 3.397 3.397 45.620
angles: 90.03 90.03 59.99
Atoms (fractional coordinates):
Mg1 0.000 0.000 0.000
Te1 0.334 0.334 0.418
Te2 0.335 0.335 0.501
Te3 0.668 0.668 0.848
Te4 0.668 0.668 0.930
Mo1 0.335 0.335 0.889
Mo2 0.668 0.668 0.460
Mo3 0.669 0.669 0.091
W1 0.334 0.334 0.272
Se1 0.668 0.668 0.235
Se2 0.668 0.668 0.308
S1 0.335 0.335 0.058
S2 0.335 0.335 0.124

Computed properties:
SG: Cm, No. 8

=====

Model 2:
VASP calculation (PBE) on an optimized crystal structure of MgTe4Mo3WSe2S2.

abc: 3.390 3.390 46.326
angles: 90.00 90.00 120.00
Atoms (fractional coordinates):
Mg1 0.000 0.000 0.000
Te1 0.333 0.667 0.064
Te2 0.333 0.667 0.145
Te3 0.333 0.667 0.682
Te4 0.333 0.667 0.763
Mo1 0.333 0.667 0.535
Mo2 0.667 0.333 0.105
Mo3 0.667 0.333 0.723
W1 0.333 0.667 0.902
Se1 0.667 0.333 0.499
Se2 0.667 0.333 0.570
S1 0.667 0.333 0.869
S2 0.667 0.333 0.934

Computed properties:
SG: P3m1, No. 156

=====

The structure with the least stability is model 1.